A relaxed structure of CaTiSi2O6, computed with PBE. Values from VASP.

```
&SYSTEM
  ibrav = 0, nat = 20, ntyp = 4
/
ATOMIC_SPECIES
Ca 40.08 Ca.upf
Ti 47.87 Ti.upf
Si 28.09 Si.upf
O 16.00 O.upf
ATOMIC_POSITIONS crystal
Ca 0.7020 0.2980 0.7500
Ca 0.2980 0.7020 0.2500
Ti 0.9213 0.0787 0.2500
Ti 0.0787 0.9213 0.7500
Si 0.3874 0.1966 0.2657
Si 0.8034 0.6126 0.2343
Si 0.1966 0.3874 0.7657
Si 0.6126 0.8034 0.7343
O 0.3696 0.3318 0.5058
O 0.6682 0.6304 0.9942
O 0.6304 0.6682 0.4942
O 0.3318 0.3696 0.0058
O 0.6169 0.1194 0.1746
O 0.8806 0.3831 0.3254
O 0.3831 0.8806 0.8254
O 0.1194 0.6169 0.6746
O 0.0316 0.2242 0.8479
O 0.7758 0.9684 0.6521
O 0.2242 0.0316 0.3479
O 0.9684 0.7758 0.1521
CELL_PARAMETERS angstrom
3.7912 -1.5736 5.4669
5.0944 -3.0737 -3.3669
3.5938 3.8392 -0.1218
```

Results
volume = 11.79 A^3/atom
VASP energy = -7.79 eV/atom

---

A relaxed structure of Ca3Sn2S7, computed with PBE. Values from VASP.

```
&SYSTEM
  ibrav = 0, nat = 12, ntyp = 3
/
ATOMIC_SPECIES
Ca 40.08 Ca.upf
Sn 118.71 Sn.upf
S 32.06 S.upf
ATOMIC_POSITIONS crystal
Ca 0.5000 0.5000 0.0000
Ca 0.3282 0.3282 0.0000
Ca 0.6718 0.6718 0.0000
Sn 0.1113 0.1113 0.0000
Sn 0.8887 0.8887 0.0000
S 0.0000 0.0000 0.0000
S 0.0903 0.5903 0.5000
S 0.5903 0.0903 0.5000
S 0.9097 0.4097 0.5000
S 0.4097 0.9097 0.5000
S 0.2135 0.2135 0.0000
S 0.7865 0.7865 0.0000
CELL_PARAMETERS angstrom
-2.5023 2.5023 11.7328
2.5023 -2.5023 11.7328
2.5023 2.5023 -11.7328
```

Results
volume = 24.49 A^3/atom
VASP energy = -4.49 eV/atom

---

A relaxed structure of ZrSiNi, computed with PBE. Values from VASP.

```
&SYSTEM
  ibrav = 0, nat = 12, ntyp = 3
/
ATOMIC_SPECIES
Zr 91.22 Zr.upf
Si 28.09 Si.upf
Ni 58.69 Ni.upf
ATOMIC_POSITIONS crystal
Zr 0.2500 0.0162 0.8146
Zr 0.2500 0.5162 0.6854
Zr 0.7500 0.9838 0.1854
Zr 0.7500 0.4838 0.3146
Si 0.2500 0.7744 0.3862
Si 0.2500 0.2744 0.1138
Si 0.7500 0.2256 0.6138
Si 0.7500 0.7256 0.8862
Ni 0.2500 0.1412 0.4388
Ni 0.2500 0.6412 0.0612
Ni 0.7500 0.8588 0.5612
Ni 0.7500 0.3588 0.9388
CELL_PARAMETERS angstrom
-2.6751 0.4493 -2.6913
-2.1483 -6.0066 1.1325
-4.6173 2.5985 5.0234
```

Results
volume = 15.06 A^3/atom
VASP energy = -7.49 eV/atom

---

A relaxed structure of LiMg3, computed with PBE. Values from VASP.

```
&SYSTEM
  ibrav = 0, nat = 4, ntyp = 2
/
ATOMIC_SPECIES
Li 6.94 Li.upf
Mg 24.30 Mg.upf
ATOMIC_POSITIONS crystal
Li 0.0000 0.0000 0.0000
Mg 0.5000 0.5000 0.0000
Mg 0.5000 0.0000 0.5000
Mg 0.0000 0.5000 0.5000
CELL_PARAMETERS angstrom
-0.5942 1.9076 3.9524
-3.2246 -2.8952 0.9125
2.9769 -2.7554 1.7774
```

Results
volume = 21.72 A^3/atom
VASP energy = -1.70 eV/atom